Mg29Pd4 | the Materials Project database | PBE | relaxed; formation energy = -134 meV per atom; space group = F-43m (216)
1.0
1.528 8.029 11.732
11.414 8.495 1.413
-1.510 14.195 -0.805
Pd Mg
12 87
Cartesian
4.881 15.579 11.594
10.344 20.399 10.831
6.653 17.880 7.182
2.908 15.092 6.719
6.152 15.245 3.332
2.975 19.447 3.730
11.082 15.871 5.121
9.112 22.898 5.749
5.105 22.709 9.932
3.923 10.543 4.235
9.732 26.153 10.505
7.149 13.222 7.446
9.107 15.555 3.241
1.137 13.420 8.093
7.720 15.900 11.931
5.062 12.544 2.740
4.187 9.797 10.176
8.086 18.999 12.083
0.963 2.589 1.040
8.508 18.907 9.005
2.933 15.263 9.686
7.374 24.485 10.256
1.976 7.911 8.817
9.773 21.595 8.253
3.620 17.884 7.919
9.455 24.583 8.084
-0.038 11.999 0.506
-0.202 14.521 2.482
3.156 9.848 6.919
9.897 10.067 4.215
1.099 7.397 1.387
2.097 11.996 2.552
3.744 12.941 11.439
6.682 10.975 9.045
8.405 19.523 1.194
4.939 19.744 5.624
7.521 13.722 1.428
6.424 13.723 10.285
6.600 10.010 3.324
1.856 17.449 5.243
3.218 17.886 11.158
7.692 21.496 10.426
10.472 17.598 10.827
4.176 12.664 8.215
1.839 5.896 4.439
1.553 10.959 9.723
3.877 9.464 1.731
10.780 14.704 10.991
10.996 13.283 3.868
11.754 25.177 12.398
8.372 15.788 8.734
5.706 20.143 8.525
1.516 17.464 2.241
4.647 25.267 11.302
3.058 14.932 3.605
5.430 15.435 8.025
1.813 14.616 0.378
6.016 17.558 10.068
10.343 25.536 5.355
8.717 21.160 3.586
7.551 15.535 5.811
6.335 22.552 4.859
12.094 21.983 12.580
8.825 11.076 6.807
0.000 0.000 0.000
8.529 8.221 1.976
7.255 18.055 4.124
0.680 19.159 9.258
10.094 23.285 10.723
5.883 10.878 6.127
9.278 11.324 1.659
9.520 17.724 6.410
5.102 13.712 5.508
11.557 19.163 8.459
4.719 14.958 0.947
7.215 27.179 11.619
10.687 27.343 7.995
4.110 22.447 7.181
4.244 6.009 1.927
7.194 16.800 1.254
2.048 20.261 6.328
3.007 20.890 9.546
10.470 18.228 3.588
1.471 9.350 4.243
2.391 12.418 5.528
5.177 20.282 11.584
9.156 12.817 9.351
7.849 20.244 6.287
10.874 20.551 5.638
7.052 22.795 7.786
4.616 7.963 4.782
4.778 16.758 5.335
0.478 14.757 5.375
4.527 17.575 2.455
9.928 13.889 6.628
7.811 12.836 4.420
5.491 20.424 2.733
11.529 16.080 7.955
0.809 16.498 7.919